DFT (GGA-PBE) results for an optimized crystal structure of AlSbO3.

Magnetic moment: 0.0000 μB per atom
Energy of formation: -2.183 eV/atom

Cell lengths 5.6795, 5.6795, 13.1019 Å; angles 90.00, 90.00, 120.00 degrees
Space group P6_3cm (No. 185)
Asymmetric unit:
1 Al 0.0000 0.0000 0.0000 (multiplicity 2)
2 Al 0.3333 0.6667 0.0362 (multiplicity 4)
3 Sb 0.0000 0.2968 0.2540 (multiplicity 6)
4 O 0.0000 0.0000 0.1344 (multiplicity 2)
5 O 0.0000 0.3156 0.4658 (multiplicity 6)
6 O 0.0000 0.4735 0.1219 (multiplicity 6)
7 O 0.3333 0.6667 0.2972 (multiplicity 4)



DFT (GGA-PBE) results for an optimized crystal structure of MgZn2Co4S8.

Energy relative to the lowest polymorph listed for this composition: 3.99 eV/f.u.
Magnetic moment: 0.1215 μB per atom
Energy of formation: -0.440 eV/atom

Cell lengths 7.267, 7.268, 10.256 Å; angles 90.00, 90.00, 90.00 degrees
Space group Imm2 (No. 44)
Asymmetric unit:
1 Mg 0.000 0.000 0.000 (multiplicity 2)
2 Zn 0.000 0.000 0.501 (multiplicity 2)
3 Zn 0.000 0.500 0.250 (multiplicity 2)
4 Co 0.000 0.277 0.863 (multiplicity 4)
5 Co 0.224 0.500 0.639 (multiplicity 4)
6 S 0.000 0.245 0.124 (multiplicity 4)
7 S 0.000 0.291 0.646 (multiplicity 4)
8 S 0.210 0.500 0.856 (multiplicity 4)
9 S 0.248 0.000 0.879 (multiplicity 4)



DFT (GGA-PBE) results for an optimized crystal structure of TlCu4Se3.

Energy relative to the lowest polymorph listed for this composition: 0.00 eV/f.u.
Magnetic moment: 0.0000 μB per atom
Energy of formation: -0.353 eV/atom

Cell lengths 12.543, 12.927, 3.945 Å; angles 90.00, 90.00, 90.00 degrees
Space group Pnnm (No. 58)
Asymmetric unit:
1 Tl 0.105 0.128 0.000 (multiplicity 4)
2 Cu 0.086 0.730 0.500 (multiplicity 4)
3 Cu 0.097 0.540 0.500 (multiplicity 4)
4 Cu 0.185 0.421 0.000 (multiplicity 4)
5 Cu 0.195 0.826 0.000 (multiplicity 4)
6 Se 0.093 0.356 0.500 (multiplicity 4)
7 Se 0.120 0.911 0.500 (multiplicity 4)
8 Se 0.179 0.632 0.000 (multiplicity 4)



DFT (GGA-PBE) results for an optimized crystal structure of Y6Fe23.

Magnetic moment: 1.7625 μB per atom
Energy of formation: -0.042 eV/atom

Cell lengths 12.044, 12.044, 12.044 Å; angles 90.00, 90.00, 90.00 degrees
Space group Fm-3m (No. 225)
Asymmetric unit:
1 Y 0.000 0.000 0.209 (multiplicity 24)
2 Fe 0.000 0.000 0.500 (multiplicity 4)
3 Fe 0.000 0.250 0.250 (multiplicity 24)
4 Fe 0.122 0.122 0.378 (multiplicity 32)
5 Fe 0.176 0.176 0.176 (multiplicity 32)



DFT (GGA-PBE) results for an optimized crystal structure of H.

Energy relative to the lowest polymorph listed for this composition: 0.02 eV/f.u.
Energy of formation: 0.017 eV/atom

Cell lengths 6.790, 8.472, 7.577 Å; angles 90.00, 101.21, 90.00 degrees
Space group P2_1 (No. 4)
Asymmetric unit:
1 H 0.007 0.000 0.330 (multiplicity 2)
2 H 0.020 0.416 0.655 (multiplicity 2)
3 H 0.032 0.285 0.359 (multiplicity 2)
4 H 0.053 0.752 0.603 (multiplicity 2)
5 H 0.098 0.068 0.701 (multiplicity 2)
6 H 0.136 0.718 0.115 (multiplicity 2)
7 H 0.160 0.087 0.632 (multiplicity 2)
8 H 0.164 0.799 0.086 (multiplicity 2)
9 H 0.304 0.572 0.644 (multiplicity 2)
10 H 0.319 0.303 0.112 (multiplicity 2)
11 H 0.348 0.218 0.112 (multiplicity 2)
12 H 0.413 0.580 0.686 (multiplicity 2)
13 H 0.445 0.234 0.597 (multiplicity 2)
14 H 0.458 0.906 0.621 (multiplicity 2)
15 H 0.474 0.991 0.647 (multiplicity 2)
16 H 0.490 0.782 0.332 (multiplicity 2)



DFT (GGA-PBE) results for an optimized crystal structure of Mg6Si5.

Energy relative to the lowest polymorph listed for this composition: 0.93 eV/f.u.
Magnetic moment: 0.0001 μB per atom
Energy of formation: 0.118 eV/atom

Cell lengths 4.158, 6.666, 15.089 Å; angles 86.34, 89.13, 89.43 degrees
Space group P1 (No. 1)
Asymmetric unit:
1 Mg 0.000 0.000 0.000 (multiplicity 1)
2 Mg 0.001 0.503 0.012 (multiplicity 1)
3 Mg 0.461 0.635 0.543 (multiplicity 1)
4 Mg 0.467 0.778 0.874 (multiplicity 1)
5 Mg 0.487 0.272 0.912 (multiplicity 1)
6 Mg 0.502 0.759 0.091 (multiplicity 1)
7 Mg 0.515 0.222 0.120 (multiplicity 1)
8 Mg 0.952 0.805 0.683 (multiplicity 1)
9 Mg 0.958 0.963 0.463 (multiplicity 1)
10 Mg 0.973 0.317 0.612 (multiplicity 1)
11 Mg 0.980 0.505 0.402 (multiplicity 1)
12 Mg 0.982 0.907 0.233 (multiplicity 1)
13 Si 0.009 0.353 0.234 (multiplicity 1)
14 Si 0.446 0.005 0.588 (multiplicity 1)
15 Si 0.462 0.506 0.723 (multiplicity 1)
16 Si 0.463 0.790 0.370 (multiplicity 1)
17 Si 0.476 0.137 0.729 (multiplicity 1)
18 Si 0.487 0.271 0.477 (multiplicity 1)
19 Si 0.492 0.166 0.325 (multiplicity 1)
20 Si 0.508 0.564 0.253 (multiplicity 1)
21 Si 0.971 0.495 0.822 (multiplicity 1)
22 Si 0.979 0.086 0.818 (multiplicity 1)



DFT (GGA-PBE) results for an optimized crystal structure of Rb3P.

Magnetic moment: 0.0001 μB per atom
Energy of formation: -0.062 eV/atom

Cell lengths 8.442, 8.442, 8.442 Å; angles 90.00, 90.00, 90.00 degrees
Space group Fm-3m (No. 225)
Asymmetric unit:
1 Rb 0.000 0.000 0.000 (multiplicity 4)
2 Rb 0.250 0.250 0.250 (multiplicity 8)
3 P 0.000 0.000 0.500 (multiplicity 4)



DFT (GGA-PBE) results for an optimized crystal structure of UB6H36C6N3.

Energy relative to the lowest polymorph listed for this composition: 0.00 eV/f.u.
Magnetic moment: 0.0586 μB per atom
Energy of formation: -0.217 eV/atom

Cell lengths 12.490, 11.028, 14.938 Å; angles 90.00, 95.76, 90.00 degrees
Space group P2_1/c (No. 14)
Asymmetric unit:
1 U 0.194 0.052 0.293 (multiplicity 4)
2 B 0.020 0.549 0.710 (multiplicity 4)
3 B 0.118 0.231 0.817 (multiplicity 4)
4 B 0.214 0.027 0.483 (multiplicity 4)
5 B 0.261 0.659 0.896 (multiplicity 4)
6 B 0.309 0.011 0.144 (multiplicity 4)
7 B 0.395 0.156 0.260 (multiplicity 4)
8 H 0.021 0.544 0.793 (multiplicity 4)
9 H 0.031 0.128 0.960 (multiplicity 4)
10 H 0.036 0.057 0.184 (multiplicity 4)
11 H 0.054 0.196 0.344 (multiplicity 4)
12 H 0.087 0.520 0.449 (multiplicity 4)
13 H 0.089 0.675 0.997 (multiplicity 4)
14 H 0.097 0.611 0.692 (multiplicity 4)
15 H 0.126 0.247 0.236 (multiplicity 4)
16 H 0.127 0.029 0.434 (multiplicity 4)
17 H 0.158 0.646 0.105 (multiplicity 4)
18 H 0.167 0.578 0.321 (multiplicity 4)
19 H 0.172 0.650 0.852 (multiplicity 4)
20 H 0.173 0.110 0.967 (multiplicity 4)
21 H 0.178 0.025 0.729 (multiplicity 4)
22 H 0.192 0.723 0.543 (multiplicity 4)
23 H 0.202 0.076 0.554 (multiplicity 4)
24 H 0.208 0.246 0.358 (multiplicity 4)
25 H 0.228 0.076 0.142 (multiplicity 4)
26 H 0.258 0.048 0.834 (multiplicity 4)
27 H 0.283 0.081 0.443 (multiplicity 4)
28 H 0.290 0.736 0.396 (multiplicity 4)
29 H 0.307 0.565 0.705 (multiplicity 4)
30 H 0.310 0.540 0.572 (multiplicity 4)
31 H 0.311 0.215 0.250 (multiplicity 4)
32 H 0.327 0.594 0.862 (multiplicity 4)
33 H 0.341 0.583 0.120 (multiplicity 4)
34 H 0.343 0.247 0.092 (multiplicity 4)
35 H 0.375 0.716 0.061 (multiplicity 4)
36 H 0.386 0.074 0.316 (multiplicity 4)
37 H 0.415 0.569 0.024 (multiplicity 4)
38 H 0.419 0.586 0.317 (multiplicity 4)
39 H 0.420 0.146 0.029 (multiplicity 4)
40 H 0.470 0.221 0.287 (multiplicity 4)
41 H 0.483 0.023 0.895 (multiplicity 4)
42 H 0.487 0.044 0.777 (multiplicity 4)
43 H 0.487 0.247 0.111 (multiplicity 4)
44 C 0.096 0.077 0.935 (multiplicity 4)
45 C 0.167 0.682 0.038 (multiplicity 4)
46 C 0.179 0.017 0.802 (multiplicity 4)
47 C 0.352 0.620 0.054 (multiplicity 4)
48 C 0.415 0.190 0.095 (multiplicity 4)
49 C 0.488 0.524 0.330 (multiplicity 4)
50 N 0.092 0.094 0.835 (multiplicity 4)
51 N 0.249 0.610 0.995 (multiplicity 4)
52 N 0.411 0.095 0.166 (multiplicity 4)



Q: Number 2 is which compound?
A: MgZn2Co4S8



Q: The lowest energy of formation belongs to which entry?
A: AlSbO3